[1]
VASP calculation (PBE-GGA) on an optimized crystal structure of CdHg3C6S6N6Cl2.

Lattice parameters (Å, degrees): 21.4782 21.4782 21.4782 30.73 30.73 30.73
Positions (direct):
Cd: 0.0000 0.0000 0.0000
Cd: 0.1828 0.1828 0.1828
Cd: 0.5000 0.5000 0.5000
Cd: 0.6828 0.6828 0.6828
Hg: 0.1746 0.7221 0.8368
Hg: 0.2221 0.6745 0.3368
Hg: 0.3368 0.2221 0.6746
Hg: 0.3725 0.9882 0.4455
Hg: 0.4455 0.3725 0.9882
Hg: 0.4882 0.8725 0.9455
Hg: 0.6746 0.3368 0.2221
Hg: 0.7221 0.8368 0.1746
Hg: 0.8368 0.1745 0.7221
Hg: 0.8725 0.9455 0.4882
Hg: 0.9455 0.4882 0.8725
Hg: 0.9882 0.4455 0.3725
C: 0.0318 0.4516 0.9732
C: 0.1456 0.7236 0.2169
C: 0.2169 0.1456 0.7236
C: 0.2236 0.6456 0.7169
C: 0.2393 0.8006 0.8506
C: 0.3006 0.7393 0.3506
C: 0.3354 0.9289 0.3872
C: 0.3506 0.3006 0.7393
C: 0.3872 0.3354 0.9289
C: 0.4289 0.8354 0.8872
C: 0.4516 0.9732 0.0318
C: 0.4732 0.9516 0.5318
C: 0.5318 0.4732 0.9516
C: 0.6456 0.7169 0.2236
C: 0.7169 0.2236 0.6456
C: 0.7236 0.2169 0.1456
C: 0.7393 0.3506 0.3006
C: 0.8006 0.8506 0.2393
C: 0.8354 0.8872 0.4289
C: 0.8506 0.2393 0.8006
C: 0.8872 0.4289 0.8354
C: 0.9289 0.3872 0.3354
C: 0.9516 0.5318 0.4732
C: 0.9732 0.0318 0.4516
S: 0.0789 0.7107 0.8258
S: 0.0911 0.4690 0.3634
S: 0.2107 0.5789 0.3258
S: 0.2227 0.8437 0.2688
S: 0.2688 0.2227 0.8437
S: 0.3161 0.9120 0.9747
S: 0.3258 0.2107 0.5789
S: 0.3437 0.7227 0.7688
S: 0.3634 0.0911 0.4690
S: 0.4120 0.8161 0.4747
S: 0.4690 0.3634 0.0911
S: 0.4747 0.4120 0.8161
S: 0.5789 0.3258 0.2107
S: 0.5911 0.8634 0.9690
S: 0.7107 0.8258 0.0789
S: 0.7227 0.7688 0.3437
S: 0.7688 0.3437 0.7227
S: 0.8161 0.4747 0.4120
S: 0.8258 0.0789 0.7107
S: 0.8437 0.2688 0.2227
S: 0.8634 0.9690 0.5911
S: 0.9120 0.9747 0.3161
S: 0.9690 0.5911 0.8634
S: 0.9747 0.3161 0.9120
N: 0.0065 0.3242 0.2833
N: 0.0496 0.0779 0.3548
N: 0.0779 0.3548 0.0496
N: 0.0968 0.8244 0.1421
N: 0.1421 0.0968 0.8244
N: 0.1689 0.8555 0.9069
N: 0.2833 0.0065 0.3242
N: 0.3242 0.2833 0.0065
N: 0.3244 0.5968 0.6421
N: 0.3548 0.0496 0.0779
N: 0.3555 0.6689 0.4069
N: 0.4069 0.3555 0.6689
N: 0.5065 0.7833 0.8242
N: 0.5496 0.8548 0.5779
N: 0.5779 0.5496 0.8548
N: 0.5968 0.6421 0.3244
N: 0.6421 0.3244 0.5968
N: 0.6689 0.4069 0.3555
N: 0.7833 0.8242 0.5065
N: 0.8244 0.1421 0.0968
N: 0.8242 0.5065 0.7833
N: 0.8548 0.5779 0.5496
N: 0.8555 0.9069 0.1689
N: 0.9069 0.1689 0.8555
Cl: 0.0032 0.6564 0.6035
Cl: 0.1035 0.1564 0.5032
Cl: 0.1564 0.5032 0.1035
Cl: 0.4242 0.4242 0.4242
Cl: 0.5032 0.1036 0.1564
Cl: 0.6035 0.0032 0.6564
Cl: 0.6564 0.6035 0.0032
Cl: 0.9242 0.9242 0.9242

The energy relative to the elements comes out at -0.06 eV/atom. The size of the total moment comes out at 0.00 μB/cell.


[2]
VASP calculation (PBE-GGA) on an optimized crystal structure of CdC3NCl3.

Lattice parameters (Å, degrees): 14.9364 7.3876 15.8126 90.00 90.00 90.00
Positions (direct):
Cd: 0.2436 0.0482 0.1501
Cd: 0.2436 0.4518 0.1501
Cd: 0.2564 0.5482 0.6501
Cd: 0.2564 0.9518 0.6501
Cd: 0.7436 0.0482 0.3499
Cd: 0.7436 0.4518 0.3499
Cd: 0.7564 0.5482 0.8499
Cd: 0.7564 0.9518 0.8499
C: 0.0472 0.2500 0.7451
C: 0.0624 0.1603 0.3894
C: 0.0624 0.3397 0.3894
C: 0.0716 0.1605 0.9064
C: 0.0716 0.3395 0.9064
C: 0.2300 0.2500 0.4258
C: 0.2700 0.7500 0.9258
C: 0.4284 0.6605 0.4064
C: 0.4284 0.8395 0.4064
C: 0.4376 0.6603 0.8894
C: 0.4376 0.8397 0.8894
C: 0.4528 0.7500 0.2451
C: 0.5472 0.2500 0.7549
C: 0.5624 0.1603 0.1106
C: 0.5624 0.3397 0.1106
C: 0.5716 0.1605 0.5936
C: 0.5716 0.3395 0.5936
C: 0.7300 0.2500 0.0742
C: 0.7700 0.7500 0.5742
C: 0.9284 0.6605 0.0936
C: 0.9284 0.8395 0.0936
C: 0.9376 0.6603 0.6106
C: 0.9376 0.8397 0.6106
C: 0.9528 0.7500 0.2549
N: 0.0593 0.2500 0.8192
N: 0.1520 0.2500 0.4110
N: 0.3480 0.7500 0.9110
N: 0.4407 0.7500 0.3192
N: 0.5593 0.2500 0.6808
N: 0.6520 0.2500 0.0890
N: 0.8480 0.7500 0.5890
N: 0.9407 0.7500 0.1808
Cl: 0.0416 0.2500 0.6444
Cl: 0.1067 0.2500 0.1653
Cl: 0.1549 0.7500 0.7427
Cl: 0.1745 0.7500 0.9715
Cl: 0.2094 0.7500 0.5248
Cl: 0.2172 0.7500 0.2161
Cl: 0.2828 0.2500 0.7161
Cl: 0.2906 0.2500 0.0248
Cl: 0.3255 0.2500 0.4715
Cl: 0.3451 0.2500 0.2427
Cl: 0.3933 0.7500 0.6653
Cl: 0.4584 0.7500 0.1444
Cl: 0.5416 0.2500 0.8556
Cl: 0.6067 0.2500 0.3347
Cl: 0.6549 0.7500 0.7573
Cl: 0.6745 0.7500 0.5285
Cl: 0.7094 0.7500 0.9752
Cl: 0.7172 0.7500 0.2839
Cl: 0.7828 0.2500 0.7839
Cl: 0.7906 0.2500 0.4752
Cl: 0.8255 0.2500 0.0285
Cl: 0.8451 0.2500 0.2573
Cl: 0.8933 0.7500 0.8347
Cl: 0.9584 0.7500 0.3556

The energy relative to the elements comes out at 0.50 eV/atom. The size of the total moment comes out at 0.05 μB/cell.


[3]
VASP calculation (PBE-GGA) on an optimized crystal structure of CdCN3Cl2O.

Lattice parameters (Å, degrees): 7.0308 9.3446 12.4259 90.00 90.00 90.00
Positions (direct):
Cd: 0.0513 0.2045 0.0000
Cd: 0.4487 0.7045 0.5000
Cd: 0.5513 0.2955 0.0000
Cd: 0.9487 0.7955 0.5000
C: 0.0642 0.7921 0.0892
C: 0.4358 0.2921 0.5892
C: 0.5642 0.7079 0.0892
C: 0.9358 0.2079 0.5892
N: 0.0397 0.6638 0.0742
N: 0.1036 0.0380 0.3574
N: 0.1204 0.1563 0.3521
N: 0.3796 0.6563 0.8521
N: 0.3964 0.5380 0.8574
N: 0.4603 0.1638 0.5742
N: 0.5397 0.8362 0.0742
N: 0.6036 0.4620 0.3574
N: 0.6204 0.3437 0.3521
N: 0.8796 0.8437 0.8521
N: 0.8964 0.9620 0.8574
N: 0.9603 0.3362 0.5742
Cl: 0.1687 0.6377 0.3838
Cl: 0.2218 0.8402 0.6285
Cl: 0.2782 0.3402 0.1285
Cl: 0.3313 0.1377 0.8838
Cl: 0.6687 0.8623 0.3838
Cl: 0.7218 0.6598 0.6285
Cl: 0.7782 0.1598 0.1285
Cl: 0.8313 0.3623 0.8838
O: 0.0850 0.9178 0.1046
O: 0.4150 0.4178 0.6046
O: 0.5850 0.5822 0.1046
O: 0.9150 0.0822 0.6046

The energy relative to the elements comes out at -0.32 eV/atom. The size of the total moment comes out at 4.00 μB/cell.


[4]
VASP calculation (PBE-GGA) on an optimized crystal structure of Cd3Co2C12N12.

Lattice parameters (Å, degrees): 7.5977 7.5977 10.7572 90.00 90.00 90.00
Positions (direct):
Cd: 0.0000 0.0000 0.0000
Cd: 0.0000 0.5000 0.2564
Cd: 0.5000 0.0000 0.7436
Co: 0.0000 0.5000 0.7494
Co: 0.5000 0.0000 0.2506
C: 0.0000 0.5000 0.5757
C: 0.0000 0.5000 0.9229
C: 0.1732 0.3255 0.7502
C: 0.1732 0.6745 0.7502
C: 0.3255 0.1732 0.2498
C: 0.3255 0.8268 0.2498
C: 0.5000 0.0000 0.0771
C: 0.5000 0.0000 0.4243
C: 0.6745 0.1732 0.2498
C: 0.6745 0.8268 0.2498
C: 0.8268 0.3255 0.7502
C: 0.8268 0.6745 0.7502
N: 0.0000 0.5000 0.0320
N: 0.0000 0.5000 0.4674
N: 0.2139 0.2792 0.2455
N: 0.2139 0.7208 0.2455
N: 0.2792 0.2139 0.7545
N: 0.2792 0.7861 0.7545
N: 0.5000 0.0000 0.5326
N: 0.5000 0.0000 0.9680
N: 0.7208 0.2139 0.7545
N: 0.7208 0.7861 0.7545
N: 0.7861 0.2792 0.2455
N: 0.7861 0.7208 0.2455

The energy relative to the elements comes out at 0.28 eV/atom. The size of the total moment comes out at 0.00 μB/cell.


What did we get for VASP energy? Answer: -5.538, -4.578, -5.711, -7.421 eV/atom, in the order shown.